# 1
DFT (r²SCAN) results for Sr2FeO3 after structural relaxation.

extended XYZ file:
```
24
Lattice="-3.559 3.917 0.000 3.561 0.000 12.882 3.559 3.917 0.000" Properties=species:S:1:pos:R:3 pbc="T T T"
O 1.780 5.875 4.429
O 0.000 1.958 0.000
O 0.000 3.917 2.012
O 1.780 1.958 4.429
O 3.560 3.917 10.870
O 1.781 1.958 8.453
O 0.001 3.917 10.870
O 1.780 3.917 6.441
O 5.339 3.917 6.442
O 0.000 5.875 0.000
O 3.560 3.917 2.012
O 1.781 5.875 8.453
Sr 1.780 5.875 1.915
Sr 1.780 1.958 1.915
Sr 0.001 3.917 8.355
Sr 0.000 3.917 4.527
Sr 3.559 3.917 4.527
Sr 3.560 3.917 8.356
Sr 1.781 5.875 10.968
Sr 1.781 1.958 10.968
Fe 0.000 3.917 0.000
Fe 1.780 5.875 6.441
Fe -3.559 3.917 0.000
Fe 1.780 1.958 6.441
```

Output
DFT formation energy ... -2.500 eV per atom
Size of the total moment ... 0.000 μB/cell



# 2
DFT (r²SCAN) results for SiO2 after structural relaxation.

extended XYZ file:
```
54
Lattice="3.753 -9.435 0.000 3.753 9.435 0.000 0.000 0.000 14.013" Properties=species:S:1:pos:R:3 pbc="T T T"
Si 2.208 4.961 3.503
Si 3.753 7.935 7.570
Si 3.753 7.935 13.450
Si 2.207 3.324 7.710
Si 2.207 3.324 13.310
Si 3.753 6.796 10.510
Si 5.298 4.961 3.503
Si 2.207 -3.324 0.703
Si 2.207 -3.324 6.303
Si 5.298 3.324 7.710
Si 5.298 3.324 13.310
Si 2.208 -4.961 10.510
Si 3.753 -6.796 3.503
Si 5.298 -3.324 0.703
Si 5.298 -3.324 6.303
Si 3.753 -7.935 0.563
Si 3.753 -7.935 6.443
Si 5.298 -4.961 10.510
O 0.000 0.000 0.000
O 0.000 0.000 7.007
O 1.876 4.718 0.000
O 1.876 4.718 7.007
O 2.450 5.820 10.510
O 1.849 3.510 9.261
O 1.849 3.510 11.759
O 1.334 2.175 7.030
O 1.334 2.175 13.990
O 3.753 7.750 9.191
O 3.753 7.750 11.829
O 3.753 4.487 3.503
O 1.334 -2.175 0.023
O 1.334 -2.175 6.983
O 3.753 2.936 7.528
O 3.753 2.936 13.492
O 5.055 5.820 10.510
O 1.849 -3.510 2.254
O 1.849 -3.510 4.753
O 1.876 -4.718 0.000
O 1.876 -4.718 7.007
O 5.656 3.510 9.261
O 5.656 3.510 11.759
O 2.450 -5.820 3.503
O 3.753 -2.936 0.521
O 3.753 -2.936 6.485
O 6.171 2.175 7.030
O 6.171 2.175 13.990
O 3.753 -4.487 10.510
O 3.753 -7.750 2.184
O 3.753 -7.750 4.823
O 6.171 -2.175 0.023
O 6.171 -2.175 6.983
O 5.656 -3.510 2.254
O 5.656 -3.510 4.753
O 5.055 -5.820 3.503
```

Output
DFT formation energy ... -3.003 eV per atom
Size of the total moment ... 0.000 μB/cell
Symmetry ... Cmcm (63)



# 3
DFT (r²SCAN) results for W2N3 after structural relaxation.

extended XYZ file:
```
10
Lattice="2.502 -4.306 0.000 2.502 4.306 0.000 -1.685 0.000 5.080" Properties=species:S:1:pos:R:3 pbc="T T T"
W 0.000 0.000 0.000
W 0.024 0.000 2.729
W 2.537 1.451 0.126
W 2.537 -1.451 0.126
N 0.828 1.362 1.353
N 1.712 2.872 3.876
N 0.828 -1.362 1.353
N 1.631 0.000 3.890
N 3.419 0.000 1.365
N 1.712 -2.872 3.876
```

Output
DFT formation energy ... -0.557 eV per atom
Size of the total moment ... 0.000 μB/cell
Symmetry ... Cm (8)



# 4
DFT (r²SCAN) results for ZrCo after structural relaxation.

extended XYZ file:
```
2
Lattice="3.208 0.000 0.000 0.000 3.208 0.000 0.000 0.000 3.208" Properties=species:S:1:pos:R:3 pbc="T T T"
Zr 0.000 0.000 0.000
Co 1.604 1.604 1.604
```

Output
DFT formation energy ... -0.330 eV per atom
Size of the total moment ... 1.002 μB/cell
Symmetry ... Pm-3m (221)



# 5
DFT (r²SCAN) results for Cs2PrF6 after structural relaxation.

extended XYZ file:
```
9
Lattice="7.260 0.000 0.000 -3.630 6.288 0.000 0.000 0.000 3.837" Properties=species:S:1:pos:R:3 pbc="T T T"
Cs 0.000 4.192 0.000
Cs 3.630 2.096 0.000
Pr 0.000 0.000 1.918
F -0.775 1.342 0.000
F -2.442 4.229 1.918
F 1.549 0.000 0.000
F 1.188 2.059 1.918
F 4.884 0.000 1.918
F 2.856 4.946 0.000
```

Output
DFT formation energy ... -3.238 eV per atom
Size of the total moment ... 1.000 μB/cell
Symmetry ... P-62m (189)



# 6
DFT (r²SCAN) results for Ti8N5 after structural relaxation.

extended XYZ file:
```
13
Lattice="4.188 0.000 0.000 0.000 4.188 0.000 0.000 0.000 8.595" Properties=species:S:1:pos:R:3 pbc="T T T"
Ti 0.000 0.000 2.075
Ti 0.000 0.000 6.520
Ti 0.000 2.094 4.420
Ti 0.000 2.094 8.461
Ti 2.094 0.000 0.134
Ti 2.094 0.000 4.175
Ti 2.094 2.094 2.200
Ti 2.094 2.094 6.395
N 0.000 0.000 0.000
N 0.000 2.094 6.455
N 2.094 0.000 2.140
N 2.094 2.094 0.000
N 2.094 2.094 4.298
```

Output
DFT formation energy ... -1.577 eV per atom
Size of the total moment ... 0.000 μB/cell
Symmetry ... P-4m2 (115)



# 7
DFT (r²SCAN) results for Li4Al3Ge3IO12 after structural relaxation.

extended XYZ file:
```
46
Lattice="8.718 0.000 0.000 0.000 8.718 0.000 0.000 0.000 8.718" Properties=species:S:1:pos:R:3 pbc="T T T"
Li 1.658 1.658 1.658
Li 1.658 7.060 7.060
Li 2.701 2.701 6.018
Li 2.701 6.018 2.701
Li 6.018 2.701 2.701
Li 6.018 6.018 6.018
Li 7.060 1.658 7.060
Li 7.060 7.060 1.658
Al 0.000 2.180 4.359
Al 0.000 6.539 4.359
Al 2.180 4.359 0.000
Al 4.359 0.000 2.180
Al 4.359 0.000 6.539
Al 6.539 4.359 0.000
Ge 0.000 4.359 2.180
Ge 0.000 4.359 6.539
Ge 2.180 0.000 4.359
Ge 4.359 2.180 0.000
Ge 4.359 6.539 0.000
Ge 6.539 0.000 4.359
I 0.000 0.000 0.000
I 4.359 4.359 4.359
O 0.812 3.138 5.582
O 0.812 5.580 3.137
O 1.223 1.221 3.548
O 1.221 3.548 1.223
O 1.221 5.171 7.496
O 1.223 7.497 5.171
O 3.137 0.812 5.580
O 3.138 3.137 7.907
O 3.138 5.582 0.812
O 3.137 7.907 3.138
O 3.548 1.223 1.221
O 3.548 7.496 7.497
O 5.171 1.223 7.497
O 5.171 7.496 1.221
O 5.582 0.812 3.138
O 5.580 3.137 0.812
O 5.580 5.582 7.907
O 5.582 7.907 5.580
O 7.496 1.221 5.171
O 7.497 3.548 7.496
O 7.497 5.171 1.223
O 7.496 7.497 3.548
O 7.907 3.138 3.137
O 7.907 5.580 5.582
```

Output
DFT formation energy ... -2.445 eV per atom
Size of the total moment ... 0.000 μB/cell
Symmetry ... P-43n (218)



# 8
DFT (r²SCAN) results for Ce2FeRu3 after structural relaxation.

extended XYZ file:
```
6
Lattice="2.807 1.620 3.848 -2.807 1.620 3.848 0.000 -3.241 3.848" Properties=species:S:1:pos:R:3 pbc="T T T"
Ce 0.000 0.000 1.545
Ce 0.000 0.000 9.999
Fe 0.000 0.000 5.772
Ru -1.403 -0.810 3.848
Ru -1.403 0.810 7.696
Ru 0.000 1.620 3.848
```

Output
DFT formation energy ... -0.278 eV per atom
Size of the total moment ... 2.645 μB/cell
Symmetry ... R-3m (166)



# 9
DFT (r²SCAN) results for Pm2TlAg after structural relaxation.

extended XYZ file:
```
4
Lattice="0.000 3.797 3.797 3.797 0.000 3.797 3.797 3.797 0.000" Properties=species:S:1:pos:R:3 pbc="T T T"
Pm 1.899 1.899 1.899
Pm 5.696 5.696 5.696
Tl 0.000 0.000 0.000
Ag 3.797 3.797 3.797
```

Output
DFT formation energy ... -0.409 eV per atom
Size of the total moment ... 0.265 μB/cell
Symmetry ... Fm-3m (225)



# 10
DFT (r²SCAN) results for KTaCl6 after structural relaxation.

extended XYZ file:
```
16
Lattice="5.979 -3.108 0.000 5.979 3.108 0.000 -2.442 0.000 11.773" Properties=species:S:1:pos:R:3 pbc="T T T"
K 4.147 2.476 8.830
K 5.368 -2.476 2.943
Ta 2.989 1.554 0.000
Ta 1.768 -1.554 5.887
Cl 0.445 0.357 6.274
Cl 1.390 0.564 9.804
Cl 1.667 -0.357 0.387
Cl 4.759 0.616 1.251
Cl 2.611 -0.564 3.917
Cl 5.978 0.616 4.636
Cl 3.537 -0.616 7.137
Cl 6.904 0.564 7.856
Cl 4.756 -0.616 10.523
Cl 7.848 0.357 11.386
Cl 8.125 -0.564 1.969
Cl 9.070 -0.357 5.500
```

Output
DFT formation energy ... -1.703 eV per atom
Size of the total moment ... 0.000 μB/cell
Symmetry ... C2/c (15)



# 11
DFT (r²SCAN) results for Tl2Ge2S5 after structural relaxation.

extended XYZ file:
```
36
Lattice="7.600 -7.594 0.000 7.600 7.594 0.000 -2.539 0.000 8.505" Properties=species:S:1:pos:R:3 pbc="T T T"
Tl 1.823 0.987 0.913
Tl 3.452 1.938 5.183
Tl 0.553 -0.987 5.166
Tl 4.721 -1.938 0.930
Tl 7.938 1.938 7.575
Tl 12.106 0.987 3.340
Tl 9.208 -1.938 3.322
Tl 10.836 -0.987 7.592
Ge 5.594 4.506 3.295
Ge 5.760 1.946 0.786
Ge 8.336 4.506 0.958
Ge 8.169 1.946 3.466
Ge 4.491 -1.946 5.039
Ge 4.324 -4.506 7.548
Ge 6.899 -1.946 7.719
Ge 7.066 -4.506 5.210
S 8.270 -5.745 3.951
S 4.389 5.745 4.554
S 4.330 3.233 1.965
S 6.965 5.867 2.126
S 2.026 0.741 7.967
S 4.549 3.272 8.064
S 7.001 5.745 8.204
S 6.841 3.272 4.694
S 3.296 -0.741 3.715
S 6.965 0.614 2.126
S 9.599 3.233 2.287
S 3.060 -3.233 6.218
S 5.695 -0.614 6.379
S 9.364 0.741 4.791
S 5.819 -3.272 3.811
S 5.659 -5.745 0.302
S 8.111 -3.272 0.441
S 10.633 -0.741 0.538
S 5.695 -5.867 6.379
S 8.330 -3.233 6.540
```

Output
DFT formation energy ... -0.484 eV per atom
Size of the total moment ... 0.000 μB/cell
Symmetry ... C2/c (15)



# 12
DFT (r²SCAN) results for RbMn4O8 after structural relaxation.

extended XYZ file:
```
13
Lattice="6.911 -1.467 0.000 6.911 1.467 0.000 -6.813 0.000 6.997" Properties=species:S:1:pos:R:3 pbc="T T T"
Rb 0.000 0.000 0.000
Mn -1.219 0.000 3.381
Mn 3.395 0.000 1.285
Mn 3.613 0.000 5.712
Mn 8.228 0.000 3.616
O -4.296 0.000 5.002
O -2.388 0.000 6.607
O 2.114 0.000 2.683
O 0.365 0.000 4.486
O 6.644 0.000 2.510
O 4.894 0.000 4.313
O 9.396 0.000 0.389
O 11.304 0.000 1.995
```

Output
DFT formation energy ... -2.114 eV per atom
Size of the total moment ... 13.000 μB/cell
Symmetry ... C2/m (12)



# 13
DFT (r²SCAN) results for AsIF12 after structural relaxation.

extended XYZ file:
```
56
Lattice="9.257 0.000 0.000 0.000 9.257 0.000 0.000 0.000 9.257" Properties=species:S:1:pos:R:3 pbc="T T T"
As 0.000 0.000 0.000
As 0.000 4.629 4.629
As 4.629 0.000 4.629
As 4.629 4.629 0.000
I 0.000 0.000 4.629
I 0.000 4.629 0.000
I 4.629 0.000 0.000
I 4.629 4.629 4.629
F 0.559 5.589 3.281
F 0.559 8.297 7.910
F 0.584 1.092 5.927
F 0.584 3.537 1.299
F 0.960 1.348 8.698
F 0.960 3.281 4.069
F 1.092 5.927 0.584
F 1.092 7.958 5.213
F 1.299 0.584 3.537
F 1.299 4.045 8.165
F 1.348 5.188 5.589
F 1.348 8.698 0.960
F 3.281 0.559 5.589
F 3.281 4.069 0.960
F 3.330 5.213 3.537
F 3.330 8.673 8.165
F 3.537 1.299 0.584
F 3.537 3.330 5.213
F 3.668 5.976 8.698
F 3.668 7.910 4.069
F 4.045 5.720 5.927
F 4.045 8.165 1.299
F 4.069 0.960 3.281
F 4.069 3.668 7.910
F 5.188 5.589 1.348
F 5.188 8.297 5.976
F 5.213 1.092 7.958
F 5.213 3.537 3.330
F 5.589 1.348 5.188
F 5.589 3.281 0.559
F 5.720 5.927 4.045
F 5.720 7.958 8.673
F 5.927 0.584 1.092
F 5.927 4.045 5.720
F 5.976 5.188 8.297
F 5.976 8.698 3.668
F 7.910 0.559 8.297
F 7.910 4.069 3.668
F 7.958 5.213 1.092
F 7.958 8.673 5.720
F 8.165 1.299 4.045
F 8.165 3.330 8.673
F 8.297 5.976 5.188
F 8.297 7.910 0.559
F 8.673 5.720 7.958
F 8.673 8.165 3.330
F 8.698 0.960 1.348
F 8.698 3.668 5.976
```

Output
DFT formation energy ... -1.785 eV per atom
Size of the total moment ... 0.000 μB/cell
Symmetry ... Pa-3 (205)



# 14
DFT (r²SCAN) results for Nb4VSe8 after structural relaxation.

extended XYZ file:
```
26
Lattice="6.995 0.000 0.000 -3.498 6.058 0.000 0.000 0.000 12.830" Properties=species:S:1:pos:R:3 pbc="T T T"
Nb 0.000 0.000 3.207
Nb 0.000 0.000 9.622
Nb -1.666 3.077 3.207
Nb 1.666 3.077 3.207
Nb 0.000 5.963 3.207
Nb 3.498 0.095 9.622
Nb 1.831 2.981 9.622
Nb 5.164 2.981 9.622
V 0.000 0.000 0.000
V 0.000 0.000 6.415
Se 0.000 2.031 7.972
Se 0.000 2.031 11.273
Se -1.739 5.043 7.972
Se -1.739 5.043 11.273
Se 0.000 4.039 1.490
Se 0.000 4.039 4.925
Se 1.759 1.015 1.557
Se 1.759 1.015 4.858
Se 1.739 5.043 7.972
Se 1.739 5.043 11.273
Se 3.498 2.019 7.905
Se 3.498 2.019 11.340
Se 5.237 1.015 1.557
Se 5.237 1.015 4.858
Se 3.498 4.027 1.557
Se 3.498 4.027 4.858
```

Output
DFT formation energy ... -1.068 eV per atom
Size of the total moment ... 4.031 μB/cell
Symmetry ... P6_3/mmc (194)